A plane-wave DFT calculation with PBE-GGA was carried out for a relaxed structure of Nd3Cr.

Cell: 4.843 4.843 10.201 Å, 90.00 90.00 90.00°
Space group I4/mmm (No. 139)
Asymmetric unit:
Nd 0.000 0.000 0.000 x2
Nd 0.000 0.500 0.250 x4
Cr 0.000 0.000 0.500 x2

Calculated values
Magnetic moment in μB per cell: 7.0
VASP energy in eV per cell: -44.98
Energy of formation from the pure elements in meV per atom: 366.7
Crystal system: tetragonal
Theoretical density in g cm⁻³: 6.73

=====

A plane-wave DFT calculation with PBE-GGA was carried out for a relaxed structure of Sr2YGaSn2O7.

Cell: 5.889 6.113 12.560 Å, 101.89 102.54 91.85°
Space group P1 (No. 1)
Asymmetric unit:
Sr 0.000 0.000 0.000 x1
Sr 0.090 0.138 0.331 x1
Sr 0.504 0.573 0.005 x1
Sr 0.607 0.716 0.336 x1
Y 0.290 0.308 0.651 x1
Y 0.783 0.807 0.650 x1
Ga 0.053 0.544 0.177 x1
Ga 0.536 0.148 0.172 x1
Sn 0.191 0.742 0.501 x1
Sn 0.332 0.872 0.770 x1
Sn 0.704 0.261 0.511 x1
Sn 0.880 0.399 0.828 x1
O 0.024 0.092 0.761 x1
O 0.037 0.056 0.516 x1
O 0.066 0.549 0.728 x1
O 0.111 0.721 0.327 x1
O 0.327 0.431 0.494 x1
O 0.354 0.466 0.159 x1
O 0.359 0.893 0.933 x1
O 0.511 0.909 0.515 x1
O 0.552 0.179 0.778 x1
O 0.615 0.637 0.760 x1
O 0.643 0.141 0.338 x1
O 0.861 0.596 0.492 x1
O 0.863 0.275 0.158 x1
O 0.892 0.734 0.098 x1

Calculated values
Magnetic moment in μB per cell: 0.0
VASP energy in eV per cell: -166.37
Energy of formation from the pure elements in meV per atom: -2497.2
Crystal system: triclinic
Theoretical density in g cm⁻³: 5.27

=====

A plane-wave DFT calculation with PBE-GGA was carried out for a relaxed structure of InPtO3.

Cell: 4.030 4.030 4.030 Å, 90.00 90.00 90.00°
Space group Pm-3m (No. 221)
Asymmetric unit:
In 0.000 0.000 0.000 x1
Pt 0.500 0.500 0.500 x1
O 0.000 0.500 0.500 x3

Calculated values
Magnetic moment in μB per cell: 0.0
VASP energy in eV per cell: -25.28
Energy of formation from the pure elements in meV per atom: -735.2
Crystal system: cubic
Theoretical density in g cm⁻³: 9.08

=====

A plane-wave DFT calculation with PBE-GGA was carried out for a relaxed structure of Cr3GaN.

Cell: 3.829 3.829 3.829 Å, 90.00 90.00 90.00°
Space group Pm-3m (No. 221)
Asymmetric unit:
Cr 0.000 0.000 0.500 x3
Ga 0.500 0.500 0.500 x1
N 0.000 0.000 0.000 x1

Calculated values
Magnetic moment in μB per cell: 0.4
VASP energy in eV per cell: -41.57
Energy of formation from the pure elements in meV per atom: -320.6
Crystal system: cubic
Theoretical density in g cm⁻³: 7.09

=====

A plane-wave DFT calculation with PBE-GGA was carried out for a relaxed structure of NaCd3.

Cell: 4.589 4.589 9.041 Å, 90.00 90.00 90.00°
Space group I4/mmm (No. 139)
Asymmetric unit:
Na 0.000 0.000 0.000 x2
Cd 0.000 0.000 0.500 x2
Cd 0.000 0.500 0.250 x4

Calculated values
VASP energy in eV per cell: -8.71
Energy of formation from the pure elements in meV per atom: -65.5
Crystal system: tetragonal
Theoretical density in g cm⁻³: 6.28

=====

A plane-wave DFT calculation with PBE-GGA was carried out for a relaxed structure of Ca6Ag16N.

Cell: 9.914 9.914 9.914 Å, 90.00 90.00 90.00°
Space group Im-3m (No. 229)
Asymmetric unit:
Ca 0.000 0.000 0.255 x12
Ag 0.000 0.347 0.347 x24
Ag 0.250 0.250 0.250 x8
N 0.000 0.000 0.000 x2

Calculated values
VASP energy in eV per cell: -145.83
Energy of formation from the pure elements in meV per atom: -329.9
Crystal system: cubic
Theoretical density in g cm⁻³: 6.75